## LuVO3 (meta-GGA r2SCAN)

Data for a geometry-optimized LuVO3 structure.

```
20
Lattice="-1.563 4.903 -0.373 -4.202 -1.514 -3.296 -4.430 -0.889 6.004" Properties=species:S:1:pos:R:3 pbc="T T T"
Lu -7.270 -1.947 1.453
Lu -5.878 1.048 2.917
Lu -4.317 1.453 -0.582
Lu -2.925 4.448 0.882
V -4.316 -1.201 1.354
V -8.094 3.258 3.983
V -7.198 0.494 -0.480
V -4.983 0.938 -3.483
O -3.186 -0.299 -0.026
O -5.226 -0.189 4.934
O -3.599 0.122 2.667
O -7.527 -0.343 3.256
O -5.932 -0.005 0.983
O -5.650 0.154 -1.773
O -4.545 2.347 4.108
O -4.263 2.506 1.352
O -2.668 2.844 -0.921
O -6.596 2.379 -0.332
O -4.969 2.691 -2.599
O -7.008 2.800 2.361
```

Output
Magnetization ... 8.000 μB/cell
Energy relative to the elements ... -3.36 eV per atom
SG ... P-1 (2)

## PuB4 (meta-GGA r2SCAN)

Data for a geometry-optimized PuB4 structure.

```
20
Lattice="4.049 0.000 0.000 0.000 7.128 -0.010 0.000 -0.010 7.128" Properties=species:S:1:pos:R:3 pbc="T T T"
Pu 0.000 4.895 1.327
Pu 0.000 5.797 4.880
Pu 0.000 1.321 2.238
Pu 0.000 2.223 5.791
B 2.024 3.289 2.302
B 2.024 3.829 4.817
B 2.024 2.302 3.834
B 2.024 4.816 3.284
B 0.817 0.000 0.000
B 3.232 3.559 3.559
B 3.232 0.000 0.000
B 0.817 3.559 3.559
B 2.024 0.623 4.192
B 2.024 2.940 0.620
B 2.024 4.179 6.499
B 2.024 6.495 2.926
B 2.024 1.258 0.270
B 2.024 6.853 1.247
B 2.024 0.265 5.871
B 2.024 5.861 6.848
```

Output
Magnetization ... 19.543 μB/cell
Energy relative to the elements ... -0.60 eV per atom
SG ... Cmmm (65)

## Ho2Ge2Ru (meta-GGA r2SCAN)

Data for a geometry-optimized Ho2Ge2Ru structure.

```
10
Lattice="2.131 5.337 -0.005 -2.131 5.337 -0.005 0.000 4.776 8.887" Properties=species:S:1:pos:R:3 pbc="T T T"
Ho 0.000 12.237 2.902
Ho 0.000 3.214 5.975
Ho 0.000 9.250 0.990
Ho 0.000 6.200 7.886
Ge 0.000 8.962 3.864
Ge 0.000 6.488 5.012
Ge 0.000 6.065 1.095
Ge 0.000 9.386 7.781
Ru 0.000 10.793 5.580
Ru 0.000 4.657 3.296
```

Output
Magnetization ... 0.054 μB/cell
Energy relative to the elements ... -0.89 eV per atom
SG ... C2/m (12)

- Which of these has the lowest energy relative to the elements?
  LuVO3

- Which value of magnetization does entry 3 give?
  0.054 μB/cell